A relaxed structure of MgSiO3, computed with PBE.

Values from the calculation:
M_tot = 0.0 μB/f.u.
energy of formation from the pure elements = -3.219 eV per atom
density = 3.13 g cm⁻³
E_tot = -7.1803 eV per atom
space-group type = Pca2_1, No. 29

Cell lengths 5.1299, 8.9526, 18.5341 Å; angles 90.00, 90.00, 90.00 degrees
With the nearest neighbours (Å) after each atom.
Sites, in units of the cell vectors:
O: 0.8610 0.7323 0.5659  1 Si 1.61
O: 0.9329 0.4433 0.5524  2 Si 1.69-1.70
O: 0.7338 0.2321 0.4343  1 Si 1.60
O: 0.3610 0.2677 0.5659  1 Si 1.61
O: 0.7662 0.2321 0.9343  1 Si 1.60
O: 0.3362 0.9503 0.8009  2 Si 1.69
O: 0.5308 0.0917 0.6844  1 Si 1.64
O: 0.3355 0.0573 0.9479  2 Si 1.70
O: 0.9253 0.7610 0.8127  1 Si 1.61
O: 0.5747 0.7610 0.3127  1 Si 1.61
O: 0.3237 0.5399 0.1980  2 Si 1.67-1.68
O: 0.8355 0.9427 0.9479  2 Si 1.70
O: 0.1645 0.0573 0.4479  2 Si 1.70
O: 0.1390 0.2677 0.0659  1 Si 1.61
O: 0.0671 0.5567 0.0524  2 Si 1.69-1.70
O: 0.9534 0.4102 0.8166  1 Si 1.63
O: 0.5671 0.4433 0.0524  2 Si 1.69-1.70
O: 0.9692 0.0917 0.1844  1 Si 1.64
O: 0.6645 0.9427 0.4479  2 Si 1.70
O: 0.4253 0.2390 0.8127  1 Si 1.61
O: 0.1430 0.9097 0.0629  1 Si 1.64
O: 0.4692 0.9083 0.1844  1 Si 1.64
O: 0.5128 0.7446 0.6867  1 Si 1.60
O: 0.6638 0.0497 0.3009  2 Si 1.69
O: 0.2662 0.7679 0.9343  1 Si 1.60
O: 0.0128 0.2554 0.6867  1 Si 1.60
O: 0.6390 0.7323 0.0659  1 Si 1.61
O: 0.7391 0.5913 0.4372  1 Si 1.64
O: 0.7609 0.5913 0.9372  1 Si 1.64
O: 0.0747 0.2390 0.3127  1 Si 1.61
O: 0.6763 0.4601 0.6980  2 Si 1.67-1.68
O: 0.8362 0.0497 0.8009  2 Si 1.69
O: 0.2391 0.4087 0.4372  1 Si 1.64
O: 0.6430 0.0903 0.0629  1 Si 1.64
O: 0.0308 0.9083 0.6844  1 Si 1.64
O: 0.8237 0.4601 0.1980  2 Si 1.67-1.68
O: 0.4329 0.5567 0.5524  2 Si 1.69-1.70
O: 0.2609 0.4087 0.9372  1 Si 1.64
O: 0.3570 0.9097 0.5629  1 Si 1.64
O: 0.8570 0.0903 0.5629  1 Si 1.64
O: 0.1638 0.9503 0.3009  2 Si 1.69
O: 0.0466 0.5898 0.3166  1 Si 1.63
O: 0.5466 0.4102 0.3166  1 Si 1.63
O: 0.2338 0.7679 0.4343  1 Si 1.60
O: 0.4872 0.2554 0.1867  1 Si 1.60
O: 0.4534 0.5898 0.8166  1 Si 1.63
O: 0.9872 0.7446 0.1867  1 Si 1.60
O: 0.1763 0.5399 0.6980  2 Si 1.67-1.68
Si: 0.7564 0.5885 0.0255  4 O 1.61-1.70
Si: 0.9721 0.4098 0.7286  4 O 1.60-1.68
Si: 0.2436 0.4115 0.5255  4 O 1.61-1.70
Si: 0.1474 0.9110 0.9746  4 O 1.60-1.70
Si: 0.3526 0.9110 0.4746  4 O 1.60-1.70
Si: 0.4721 0.5902 0.7286  4 O 1.60-1.68
Si: 0.9679 0.0912 0.2728  4 O 1.61-1.69
Si: 0.0321 0.9088 0.7728  4 O 1.61-1.69
Si: 0.7436 0.5885 0.5255  4 O 1.61-1.70
Si: 0.5321 0.0912 0.7728  4 O 1.61-1.69
Si: 0.5279 0.4098 0.2286  4 O 1.60-1.68
Si: 0.4679 0.9088 0.2728  4 O 1.61-1.69
Si: 0.2564 0.4115 0.0255  4 O 1.61-1.70
Si: 0.6474 0.0890 0.9746  4 O 1.60-1.70
Si: 0.0279 0.5902 0.2286  4 O 1.60-1.68
Si: 0.8526 0.0890 0.4746  4 O 1.60-1.70
Mg: 0.8044 0.2651 0.1209  4 O 2.00-2.12
Mg: 0.3990 0.5967 0.3755  6 O 2.06-2.19
Mg: 0.1938 0.0979 0.6257  6 O 2.03-2.21
Mg: 0.8062 0.9021 0.1257  6 O 2.03-2.21
Mg: 0.6021 0.7692 0.8764  4 O 2.03-2.11
Mg: 0.6010 0.4033 0.8755  6 O 2.06-2.19
Mg: 0.6938 0.9021 0.6257  6 O 2.03-2.21
Mg: 0.6956 0.2651 0.6209  4 O 2.00-2.12
Mg: 0.1956 0.7349 0.6209  4 O 2.00-2.12
Mg: 0.8990 0.4033 0.3755  6 O 2.06-2.19
Mg: 0.1021 0.2308 0.8764  4 O 2.03-2.11
Mg: 0.3979 0.2308 0.3764  4 O 2.03-2.11
Mg: 0.8979 0.7692 0.3764  4 O 2.03-2.11
Mg: 0.3062 0.0979 0.1257  6 O 2.03-2.21
Mg: 0.3044 0.7349 0.1209  4 O 2.00-2.12
Mg: 0.1010 0.5967 0.8755  6 O 2.06-2.19